Computed, not measured: a relaxed Ac crystal at the PBE level of DFT.

## Properties
DFT total energy: -4.076 eV/atom
Formation energy from the elements: 0.05 eV/f.u.
SG: R-3m, No. 166
Polymorph energy (0 for the lowest one): 45.1 meV/atom

abc: 9.936 9.936 9.936
angles: 23.30 23.30 23.30
Fractional coordinates of all 3 atoms:
Ac: 0.000 0.000 0.000
Ac: 0.223 0.223 0.223
Ac: 0.777 0.777 0.777